# Cs2TaTlF6 (meta-GGA r2SCAN, relaxed)
# - ρ: 5.99 g/cm3
# - Calculated formation energy: -2.67 eV per atom
# - Total DFT energy (no corrections): -197.49 eV/f.u.
# - Crystal system: cubic
data_Cs2TaTlF6
_cell_length_a 9.466
_cell_length_b 9.466
_cell_length_c 9.466
_cell_angle_alpha 90.00
_cell_angle_beta 90.00
_cell_angle_gamma 90.00
_space_group_name_H-M_alt 'F m -3 m'
_space_group_IT_number 225
_space_group_name_Hall '-F 4 2 3'
loop_
_atom_site_label
_atom_site_type_symbol
_atom_site_fract_x
_atom_site_fract_y
_atom_site_fract_z
Cs1 Cs 0.250 0.250 0.250
Ta1 Ta 0.000 0.000 0.000
Tl1 Tl 0.000 0.000 0.500
F1 F 0.000 0.000 0.219

# CsTbF5 (meta-GGA r2SCAN, relaxed)
# - ρ: 5.07 g/cm3
# - Calculated formation energy: -3.35 eV per atom
# - Total DFT energy (no corrections): -95.43 eV/f.u.
# - Crystal system: orthorhombic
data_CsTbF5
_cell_length_a 14.486
_cell_length_b 8.367
_cell_length_c 8.369
_cell_angle_alpha 90.00
_cell_angle_beta 90.00
_cell_angle_gamma 90.00
_space_group_name_H-M_alt 'C m c e'
_space_group_IT_number 64
_space_group_name_Hall '-C 2ac 2'
loop_
_atom_site_label
_atom_site_type_symbol
_atom_site_fract_x
_atom_site_fract_y
_atom_site_fract_z
Cs1 Cs 0.187 0.000 0.000
Tb1 Tb 0.000 0.169 0.331
F1 F 0.000 0.067 0.787
F2 F 0.000 0.214 0.068
F3 F 0.107 0.000 0.500
F4 F 0.152 0.182 0.322

# Cs2TcF6 (meta-GGA r2SCAN, relaxed)
# - ρ: 4.73 g/cm3
# - Calculated formation energy: -2.86 eV per atom
# - Total DFT energy (no corrections): -120.65 eV/f.u.
# - Crystal system: trigonal
data_Cs2TcF6
_cell_length_a 6.2481
_cell_length_b 6.2481
_cell_length_c 4.9652
_cell_angle_alpha 90.00
_cell_angle_beta 90.00
_cell_angle_gamma 120.00
_space_group_name_H-M_alt 'P -3 m 1'
_space_group_IT_number 164
_space_group_name_Hall '-P 3 2"'
loop_
_atom_site_label
_atom_site_type_symbol
_atom_site_fract_x
_atom_site_fract_y
_atom_site_fract_z
Cs1 Cs 0.3333 0.6667 0.2989
Tc1 Tc 0.0000 0.0000 0.0000
F1 F 0.1501 0.3002 0.7830

Question: Look up the ρ of the first one.
Answer: 5.99 g/cm3